The following is a GGA-PBE calculation of a geometry-optimized NaTe3Mo3 structure, from Materials Project.

Structure (CIF):
```
data_NaTe3Mo3
_symmetry_space_group_name_H-M 'P 63/m'
_symmetry_Int_Tables_number 176
_symmetry_space_group_name_Hall '-P 6c'
_cell_length_a 10.0228
_cell_length_b 10.0228
_cell_length_c 4.6110
_cell_angle_alpha 90.00
_cell_angle_beta 90.00
_cell_angle_gamma 120.00
loop_
_atom_site_label
_atom_site_fract_x
_atom_site_fract_y
_atom_site_fract_z
_atom_site_occupancy
Na1 0.3333 0.6667 0.2500 1
Te1 0.0398 0.6951 0.2500 1
Mo1 0.0198 0.8573 0.7500 1
```

Results
**Distance to the lowest polymorph of the same formula**: 0.0372 eV/atom

The following is a GGA-PBE calculation of a geometry-optimized NbMo structure, from Materials Project.

Structure (CIF):
```
data_NbMo
_symmetry_space_group_name_H-M 'C m m m'
_symmetry_Int_Tables_number 65
_symmetry_space_group_name_Hall '-C 2 2'
_cell_length_a 3.2439
_cell_length_b 4.6220
_cell_length_c 4.5313
_cell_angle_alpha 90.00
_cell_angle_beta 90.00
_cell_angle_gamma 90.00
loop_
_atom_site_label
_atom_site_fract_x
_atom_site_fract_y
_atom_site_fract_z
_atom_site_occupancy
Nb1 0.0000 0.0000 0.0000 1
Mo1 0.0000 0.5000 0.5000 1
```

The following is a GGA-PBE calculation of a geometry-optimized NbNi6Mo structure, from Materials Project.

Structure (CIF):
```
data_NbNi6Mo
_symmetry_space_group_name_H-M 'P m m 2'
_symmetry_Int_Tables_number 25
_symmetry_space_group_name_Hall 'P 2 -2'
_cell_length_a 4.2467
_cell_length_b 5.0601
_cell_length_c 4.5095
_cell_angle_alpha 90.00
_cell_angle_beta 90.00
_cell_angle_gamma 90.00
loop_
_atom_site_label
_atom_site_fract_x
_atom_site_fract_y
_atom_site_fract_z
_atom_site_occupancy
Nb1 0.0000 0.0000 0.0000 1
Ni1 0.0000 0.2558 0.5067 1
Ni2 0.0000 0.5000 0.0126 1
Ni3 0.5000 0.0000 0.6669 1
Ni4 0.5000 0.2547 0.1895 1
Mo1 0.5000 0.5000 0.6956 1
```

The following is a GGA-PBE calculation of a geometry-optimized Nb2MoOs structure, from Materials Project.

Structure (CIF):
```
data_Nb2MoOs
_symmetry_space_group_name_H-M 'F m -3 m'
_symmetry_Int_Tables_number 225
_symmetry_space_group_name_Hall '-F 4 2 3'
_cell_length_a 6.4251
_cell_length_b 6.4251
_cell_length_c 6.4251
_cell_angle_alpha 90.00
_cell_angle_beta 90.00
_cell_angle_gamma 90.00
loop_
_atom_site_label
_atom_site_fract_x
_atom_site_fract_y
_atom_site_fract_z
_atom_site_occupancy
Nb1 0.2500 0.2500 0.2500 1
Mo1 0.0000 0.0000 0.0000 1
Os1 0.0000 0.0000 0.5000 1
```

The following is a GGA-PBE calculation of a geometry-optimized NbReMo structure, from Materials Project.

Structure (CIF):
```
data_NbReMo
_symmetry_space_group_name_H-M 'F m m 2'
_symmetry_Int_Tables_number 42
_symmetry_space_group_name_Hall 'F 2 -2'
_cell_length_a 3.1933
_cell_length_b 4.5345
_cell_length_c 13.5609
_cell_angle_alpha 90.00
_cell_angle_beta 90.00
_cell_angle_gamma 90.00
loop_
_atom_site_label
_atom_site_fract_x
_atom_site_fract_y
_atom_site_fract_z
_atom_site_occupancy
Nb1 0.0000 0.0000 0.0000 1
Re1 0.0000 0.0000 0.3321 1
Mo1 0.0000 0.0000 0.6714 1
```

The following is a GGA-PBE calculation of a geometry-optimized TaNbMo structure, from Materials Project.

Structure (CIF):
```
data_TaNbMo
_symmetry_space_group_name_H-M 'F m m 2'
_symmetry_Int_Tables_number 42
_symmetry_space_group_name_Hall 'F 2 -2'
_cell_length_a 3.2520
_cell_length_b 4.6998
_cell_length_c 13.6707
_cell_angle_alpha 90.00
_cell_angle_beta 90.00
_cell_angle_gamma 90.00
loop_
_atom_site_label
_atom_site_fract_x
_atom_site_fract_y
_atom_site_fract_z
_atom_site_occupancy
Ta1 0.0000 0.0000 0.0000 1
Nb1 0.0000 0.0000 0.3243 1
Mo1 0.0000 0.0000 0.6612 1
```

The following is a GGA-PBE calculation of a geometry-optimized NdMo6Se8 structure, from Materials Project.

Structure (CIF):
```
data_NdMo6Se8
_symmetry_space_group_name_H-M 'R -3'
_symmetry_Int_Tables_number 148
_symmetry_space_group_name_Hall '-R 3'
_cell_length_a 9.5538
_cell_length_b 9.5538
_cell_length_c 12.0156
_cell_angle_alpha 90.00
_cell_angle_beta 90.00
_cell_angle_gamma 120.00
loop_
_atom_site_label
_atom_site_fract_x
_atom_site_fract_y
_atom_site_fract_z
_atom_site_occupancy
Nd1 0.0000 0.0000 0.0000 1
Mo1 0.0169 0.1707 0.4062 1
Se1 0.0000 0.0000 0.2401 1
Se2 0.0040 0.6278 0.7507 1
```

The following is a GGA-PBE calculation of a geometry-optimized Ni3Mo structure, from Materials Project.

Structure (CIF):
```
data_Ni3Mo
_symmetry_space_group_name_H-M 'R -3 m'
_symmetry_Int_Tables_number 166
_symmetry_space_group_name_Hall '-R 3 2"'
_cell_length_a 2.6038
_cell_length_b 2.6038
_cell_length_c 24.9316
_cell_angle_alpha 90.00
_cell_angle_beta 90.00
_cell_angle_gamma 120.00
loop_
_atom_site_label
_atom_site_fract_x
_atom_site_fract_y
_atom_site_fract_z
_atom_site_occupancy
Ni1 0.0000 0.0000 0.0000 1
Ni2 0.0000 0.0000 0.2535 1
Mo1 0.0000 0.0000 0.5000 1
```

The following is a GGA-PBE calculation of a geometry-optimized Ni3Mo structure, from Materials Project.

Structure (CIF):
```
data_Ni3Mo
_symmetry_space_group_name_H-M 'P m m n'
_symmetry_Int_Tables_number 59
_cell_length_a 4.2358
_cell_length_b 5.0245
_cell_length_c 4.4621
_cell_angle_alpha 90.00
_cell_angle_beta 90.00
_cell_angle_gamma 90.00
loop_
_symmetry_equiv_pos_as_xyz
'x,y,z'
'-x,-y,-z'
'-x+1/2,-y+1/2,z'
'x+1/2,y+1/2,-z'
'x+1/2,-y,-z'
'-x+1/2,y,z'
'-x,y+1/2,-z'
'x,-y+1/2,z'
loop_
_atom_site_label
_atom_site_fract_x
_atom_site_fract_y
_atom_site_fract_z
_atom_site_occupancy
Ni1 0.2500 0.0011 0.1595 1
Ni2 0.2500 0.2500 0.6622 1
Mo1 0.2500 0.7500 0.6570 1
```

The following is a GGA-PBE calculation of a geometry-optimized Ni15Mo17P12 structure, from Materials Project.

Structure (CIF):
```
data_Ni15Mo17P12
_symmetry_space_group_name_H-M 'P -1'
_symmetry_Int_Tables_number 2
_symmetry_space_group_name_Hall '-P 1'
_cell_length_a 7.0378
_cell_length_b 7.0580
_cell_length_c 13.3349
_cell_angle_alpha 98.52
_cell_angle_beta 92.95
_cell_angle_gamma 119.70
loop_
_atom_site_label
_atom_site_fract_x
_atom_site_fract_y
_atom_site_fract_z
_atom_site_occupancy
Ni1 0.0000 0.0000 0.0000 1
Ni2 0.2188 0.3314 0.7512 1
Ni3 0.2201 0.8332 0.2507 1
Ni4 0.3557 0.2038 0.5844 1
Ni5 0.3562 0.7045 0.0847 1
Ni6 0.3645 0.0331 0.7489 1
Ni7 0.3650 0.5339 0.2495 1
Ni8 0.4995 0.7514 0.7510 1
Mo1 0.0000 0.5000 0.5000 1
Mo2 0.0583 0.0869 0.2143 1
Mo3 0.0584 0.5850 0.7222 1
Mo4 0.0752 0.3841 0.9248 1
Mo5 0.0757 0.8913 0.4239 1
Mo6 0.2967 0.8687 0.9211 1
Mo7 0.3014 0.3664 0.4185 1
Mo8 0.4315 0.3515 0.0706 1
Mo9 0.4411 0.8578 0.5722 1
P1 0.0970 0.3813 0.1151 1
P2 0.0972 0.8823 0.6184 1
P3 0.2918 0.9827 0.1071 1
P4 0.2981 0.4847 0.6113 1
P5 0.2990 0.2164 0.8861 1
P6 0.2987 0.7155 0.3836 1
```

The following is a GGA-PBE calculation of a geometry-optimized NiMoP8 structure, from Materials Project.

Structure (CIF):
```
data_NiMoP8
_symmetry_space_group_name_H-M 'P -3 1 c'
_symmetry_Int_Tables_number 163
_symmetry_space_group_name_Hall '-P 3 2c'
_cell_length_a 6.2515
_cell_length_b 6.2515
_cell_length_c 8.7728
_cell_angle_alpha 90.00
_cell_angle_beta 90.00
_cell_angle_gamma 120.00
loop_
_atom_site_label
_atom_site_fract_x
_atom_site_fract_y
_atom_site_fract_z
_atom_site_occupancy
Ni1 0.0000 0.0000 0.0000 1
Mo1 0.3333 0.6667 0.2500 1
P1 0.0449 0.3202 0.6533 1
P2 0.3333 0.6667 0.5368 1
```

The following is a GGA-PBE calculation of a geometry-optimized Ni7Mo9P6 structure, from Materials Project.

Structure (CIF):
```
data_Ni7Mo9P6
_symmetry_space_group_name_H-M 'P -1'
_symmetry_Int_Tables_number 2
_symmetry_space_group_name_Hall '-P 1'
_cell_length_a 7.0182
_cell_length_b 7.0497
_cell_length_c 7.0686
_cell_angle_alpha 68.93
_cell_angle_beta 72.80
_cell_angle_gamma 60.45
loop_
_atom_site_label
_atom_site_fract_x
_atom_site_fract_y
_atom_site_fract_z
_atom_site_occupancy
Ni1 0.0000 0.0000 0.0000 1
Ni2 0.1336 0.2853 0.9986 1
Ni3 0.1443 0.6199 0.6690 1
Ni4 0.2828 0.5806 0.0032 1
Mo1 0.0632 0.2848 0.6413 1
Mo2 0.1995 0.9472 0.3389 1
Mo3 0.4246 0.4686 0.3478 1
Mo4 0.4408 0.8658 0.9429 1
Mo5 0.5000 0.0000 0.5000 1
P1 0.2004 0.3330 0.2676 1
P2 0.2025 0.8736 0.7224 1
P3 0.4008 0.2649 0.7345 1
```

The calculation returns the following formation energy values, one per record and in order: -2.59 -0.15 -1.57 -0.97 -0.18 -0.24 -14.51 0.62 -0.37 -19.66 -2.76 -9.79 eV/f.u..